Compound: ErC3O8
Source: the Materials Project
Functional: PBE
Structure: optimized geometry

Results
symmetry: No. 19
calculated density: 2.85 g/cm³
energy of formation: -204 kJ per mole of atoms
final energy: -7.64 eV per atom
energy with MP2020 corrections: -97.2 eV per formula unit
relative energy among the computed polymorphs: 0 kJ/mol of formula units

The structure in POSCAR format:
```
ErC3O8
1.0
-5.488 -4.662 0.751
4.519 -5.939 -3.847
4.680 -3.703 11.215
Er C O
4 12 32
Direct
0.735 0.472 0.799
0.265 0.972 0.701
0.765 0.528 0.299
0.235 0.028 0.201
0.414 0.214 0.955
0.586 0.714 0.545
0.086 0.786 0.455
0.914 0.286 0.045
0.953 0.726 0.099
0.047 0.226 0.401
0.547 0.274 0.599
0.453 0.774 0.901
0.023 0.643 0.741
0.977 0.143 0.759
0.477 0.357 0.241
0.523 0.857 0.259
0.840 0.370 0.985
0.160 0.870 0.515
0.660 0.630 0.485
0.340 0.130 0.015
0.490 0.299 0.896
0.510 0.799 0.604
0.010 0.701 0.396
0.990 0.201 0.104
0.881 0.728 0.008
0.119 0.228 0.492
0.619 0.272 0.508
0.381 0.772 0.992
0.544 0.653 0.867
0.456 0.153 0.633
0.956 0.347 0.367
0.044 0.847 0.133
0.840 0.234 0.781
0.160 0.734 0.719
0.660 0.766 0.281
0.340 0.266 0.219
0.032 0.539 0.816
0.968 0.039 0.684
0.468 0.461 0.316
0.532 0.961 0.184
0.568 0.400 0.657
0.432 0.900 0.843
0.932 0.600 0.157
0.068 0.100 0.343
0.867 0.650 0.689
0.133 0.150 0.811
0.633 0.350 0.189
0.367 0.850 0.311
```